Density functional theory data (PBE with a Hubbard U) for crystalline LiVSiO4 at its relaxed geometry.

Geometry as CIF:
```
data_LiVSiO4
_chemical_formula_sum 'Li12 V12 Si12 O48'
_cell_length_a 10.8924
_cell_length_b 10.8924
_cell_length_c 12.1985
_cell_angle_alpha 90.00
_cell_angle_beta 90.00
_cell_angle_gamma 120.00
_symmetry_space_group_name_H-M 'P 64 2 2'
_symmetry_Int_Tables_number 181
_symmetry_space_group_name_Hall 'P 64 2 (0 0 2)'
loop_
_atom_site_label
_atom_site_type_symbol
_atom_site_fract_x
_atom_site_fract_y
_atom_site_fract_z
Li1 Li 0.0000 0.0000 0.0000
Li2 Li 0.0000 0.5000 0.1588
Li3 Li 0.0000 0.5000 0.8333
V1 V 0.0000 0.2511 0.3333
V2 V 0.2509 0.5019 0.0000
Si1 Si 0.0000 0.2453 0.8333
Si2 Si 0.2477 0.4955 0.5000
O1 O 0.0750 0.1911 0.7432
O2 O 0.0979 0.4037 0.4332
O3 O 0.1046 0.3971 0.8953
O4 O 0.1979 0.5839 0.5796
```

Properties
Calculated volume   14.9 A^3/atom
Energy of formation   -2755.2 meV/atom
Energy above the lowest structure with this stoichiometry   0.59 eV/f.u.